1.
A plane-wave DFT calculation with GGA-PBE was carried out for an optimized crystal structure of BaCu2Ge3H2O10.

Summary:
- Total energy after the MP2020 corrections: -6.3311 eV per atom
- Calculated density: 4.9 g cm⁻³
- Uncorrected energy: -5.949 eV per atom
- Formation energy: -1.873 eV/atom
- V: 12.2 A^3/atom
- Spin magnetization: 4.09 μB per cell

a b c (Å): 5.648 6.290 13.832
angles (deg): 90.00 90.00 116.68
Fractional coordinates of all 36 atoms:
Ba: 0.339 0.678 0.750
Ba: 0.661 0.322 0.250
Cu: 0.000 0.500 0.000
Cu: 0.500 0.500 0.000
Cu: 0.000 0.500 0.500
Cu: 0.500 0.500 0.500
Ge: 0.030 0.060 0.877
Ge: 0.970 0.940 0.123
Ge: 0.030 0.060 0.623
Ge: 0.970 0.940 0.377
Ge: 0.500 0.000 0.000
Ge: 0.500 0.000 0.500
H: 0.304 0.609 0.191
H: 0.696 0.391 0.809
H: 0.304 0.609 0.309
H: 0.696 0.391 0.691
O: 0.183 0.366 0.912
O: 0.817 0.634 0.088
O: 0.183 0.366 0.588
O: 0.817 0.634 0.412
O: 0.346 0.693 0.055
O: 0.654 0.307 0.945
O: 0.346 0.693 0.445
O: 0.654 0.307 0.555
O: 0.208 0.897 0.907
O: 0.310 0.103 0.093
O: 0.208 0.897 0.593
O: 0.310 0.103 0.407
O: 0.792 0.103 0.093
O: 0.690 0.897 0.907
O: 0.792 0.103 0.407
O: 0.690 0.897 0.593
O: 0.041 0.082 0.750
O: 0.959 0.918 0.250
O: 0.254 0.508 0.250
O: 0.746 0.492 0.750


2.
A plane-wave DFT calculation with GGA-PBE was carried out for an optimized crystal structure of BaCu2Ge2O7.

Summary:
- Total energy after the MP2020 corrections: -6.4684 eV per atom
- Calculated density: 5.0 g cm⁻³
- Uncorrected energy: -6.068 eV per atom
- Formation energy: -1.968 eV/atom
- V: 14.4 A^3/atom
- Spin magnetization: 0.01 μB per cell

a b c (Å): 7.162 7.208 13.366
angles (deg): 90.00 90.00 90.00
Fractional coordinates of all 48 atoms:
Ba: 0.024 0.050 0.250
Ba: 0.524 0.450 0.250
Ba: 0.476 0.550 0.750
Ba: 0.976 0.950 0.750
Cu: 0.786 0.202 0.006
Cu: 0.286 0.298 0.494
Cu: 0.714 0.702 0.994
Cu: 0.214 0.798 0.506
Cu: 0.214 0.798 0.994
Cu: 0.714 0.702 0.506
Cu: 0.286 0.298 0.006
Cu: 0.786 0.202 0.494
Ge: 0.012 0.527 0.128
Ge: 0.512 0.973 0.372
Ge: 0.488 0.027 0.872
Ge: 0.988 0.473 0.628
Ge: 0.988 0.473 0.872
Ge: 0.488 0.027 0.628
Ge: 0.512 0.973 0.128
Ge: 0.012 0.527 0.372
O: 0.899 0.506 0.250
O: 0.399 0.994 0.250
O: 0.601 0.006 0.750
O: 0.101 0.494 0.750
O: 0.189 0.355 0.136
O: 0.689 0.145 0.364
O: 0.311 0.855 0.864
O: 0.811 0.645 0.636
O: 0.811 0.645 0.864
O: 0.311 0.855 0.636
O: 0.689 0.145 0.136
O: 0.189 0.355 0.364
O: 0.078 0.762 0.115
O: 0.578 0.738 0.385
O: 0.422 0.262 0.885
O: 0.922 0.238 0.615
O: 0.922 0.238 0.885
O: 0.422 0.262 0.615
O: 0.578 0.738 0.115
O: 0.078 0.762 0.385
O: 0.822 0.465 0.045
O: 0.322 0.035 0.455
O: 0.678 0.965 0.955
O: 0.178 0.535 0.545
O: 0.178 0.535 0.955
O: 0.678 0.965 0.545
O: 0.322 0.035 0.045
O: 0.822 0.465 0.455


3.
A plane-wave DFT calculation with GGA-PBE was carried out for an optimized crystal structure of BaCu2GeS4.

Summary:
- Total energy after the MP2020 corrections: -4.9693 eV per atom
- Calculated density: 4.4 g cm⁻³
- Uncorrected energy: -4.718 eV per atom
- Formation energy: -1.059 eV/atom
- V: 22.1 A^3/atom
- Spin magnetization: 0.00 μB per cell

a b c (Å): 6.277 6.277 15.558
angles (deg): 90.00 90.00 120.00
Fractional coordinates of all 24 atoms:
Ba: 0.432 0.432 0.500
Ba: 0.000 0.568 0.167
Ba: 0.568 0.000 0.833
Cu: 0.354 0.423 0.744
Cu: 0.931 0.577 0.922
Cu: 0.423 0.354 0.256
Cu: 0.069 0.646 0.411
Cu: 0.577 0.931 0.078
Cu: 0.646 0.069 0.589
Ge: 0.711 0.000 0.333
Ge: 0.000 0.711 0.667
Ge: 0.289 0.289 0.000
S: 0.763 0.668 0.332
S: 0.905 0.237 0.998
S: 0.332 0.095 0.665
S: 0.095 0.332 0.335
S: 0.237 0.905 0.002
S: 0.668 0.763 0.668
S: 0.953 0.468 0.552
S: 0.515 0.047 0.219
S: 0.047 0.515 0.781
S: 0.468 0.953 0.448
S: 0.485 0.532 0.114
S: 0.532 0.485 0.886


4.
A plane-wave DFT calculation with GGA-PBE was carried out for an optimized crystal structure of Ba4Zn2CuGe20.

Summary:
- Calculated density: 5.7 g cm⁻³
- Uncorrected energy: -4.238 eV per atom
- Formation energy: -0.284 eV/atom
- V: 23.8 A^3/atom
- Spin magnetization: 0.00 μB per cell

a b c (Å): 10.867 10.867 10.872
angles (deg): 90.00 90.00 90.00
Fractional coordinates of all 54 atoms:
Ba: 0.499 0.501 0.500
Ba: 0.001 0.999 0.000
Ba: 0.498 0.748 0.000
Ba: 0.248 0.998 0.500
Ba: 0.002 0.502 0.750
Ba: 0.498 0.252 0.000
Ba: 0.752 0.998 0.500
Ba: 0.002 0.502 0.250
Zn: 0.500 0.000 0.750
Zn: 0.000 0.250 0.500
Zn: 0.750 0.500 0.000
Zn: 0.500 0.000 0.250
Cu: 0.000 0.750 0.500
Cu: 0.250 0.500 0.000
Ge: 0.317 0.683 0.684
Ge: 0.684 0.316 0.316
Ge: 0.684 0.316 0.684
Ge: 0.317 0.683 0.316
Ge: 0.684 0.683 0.316
Ge: 0.317 0.316 0.684
Ge: 0.317 0.316 0.316
Ge: 0.684 0.683 0.684
Ge: 0.183 0.817 0.184
Ge: 0.816 0.184 0.816
Ge: 0.816 0.184 0.184
Ge: 0.183 0.817 0.816
Ge: 0.183 0.184 0.816
Ge: 0.816 0.817 0.184
Ge: 0.816 0.817 0.816
Ge: 0.183 0.184 0.184
Ge: 0.378 0.500 0.816
Ge: 0.500 0.811 0.618
Ge: 0.184 0.622 0.500
Ge: 0.617 0.500 0.190
Ge: 0.500 0.189 0.382
Ge: 0.810 0.383 0.500
Ge: 0.617 0.500 0.810
Ge: 0.500 0.189 0.618
Ge: 0.378 0.500 0.184
Ge: 0.500 0.811 0.382
Ge: 0.816 0.621 0.500
Ge: 0.190 0.383 0.500
Ge: 0.000 0.878 0.316
Ge: 0.311 0.000 0.118
Ge: 0.122 0.684 0.000
Ge: 0.000 0.117 0.690
Ge: 0.689 0.000 0.882
Ge: 0.883 0.310 0.000
Ge: 0.000 0.117 0.310
Ge: 0.689 0.000 0.118
Ge: 0.000 0.878 0.684
Ge: 0.311 0.000 0.882
Ge: 0.121 0.316 0.000
Ge: 0.883 0.690 0.000


5.
A plane-wave DFT calculation with GGA-PBE was carried out for an optimized crystal structure of Ba7Cu3H17.

Summary:
- Total energy after the MP2020 corrections: -3.5985 eV per atom
- Calculated density: 4.2 g cm⁻³
- Uncorrected energy: -3.486 eV per atom
- Formation energy: -0.509 eV/atom
- V: 16.9 A^3/atom

a b c (Å): 11.903 11.903 7.448
angles (deg): 90.00 90.00 120.00
Fractional coordinates of all 54 atoms:
Ba: 0.878 0.153 0.673
Ba: 0.847 0.725 0.673
Ba: 0.275 0.122 0.673
Ba: 0.153 0.878 0.173
Ba: 0.725 0.847 0.173
Ba: 0.122 0.275 0.173
Ba: 0.453 0.557 0.533
Ba: 0.443 0.896 0.533
Ba: 0.104 0.547 0.533
Ba: 0.557 0.453 0.033
Ba: 0.896 0.443 0.033
Ba: 0.547 0.104 0.033
Ba: 0.667 0.333 0.515
Ba: 0.333 0.667 0.015
Cu: 0.656 0.837 0.759
Cu: 0.163 0.820 0.759
Cu: 0.180 0.344 0.759
Cu: 0.837 0.656 0.259
Cu: 0.820 0.163 0.259
Cu: 0.344 0.180 0.259
H: 0.586 0.908 0.863
H: 0.092 0.679 0.863
H: 0.321 0.414 0.863
H: 0.908 0.586 0.363
H: 0.679 0.092 0.363
H: 0.414 0.321 0.363
H: 0.638 0.820 0.539
H: 0.180 0.818 0.539
H: 0.182 0.362 0.539
H: 0.820 0.638 0.039
H: 0.818 0.180 0.039
H: 0.362 0.182 0.039
H: 0.604 0.693 0.849
H: 0.307 0.911 0.849
H: 0.089 0.396 0.849
H: 0.693 0.604 0.349
H: 0.911 0.307 0.349
H: 0.396 0.089 0.349
H: 0.812 0.915 0.813
H: 0.085 0.898 0.813
H: 0.102 0.188 0.813
H: 0.915 0.812 0.313
H: 0.898 0.085 0.313
H: 0.188 0.102 0.313
H: 0.877 0.377 0.690
H: 0.623 0.500 0.690
H: 0.500 0.123 0.690
H: 0.377 0.877 0.190
H: 0.500 0.623 0.190
H: 0.123 0.500 0.190
H: 0.667 0.333 0.180
H: 0.333 0.667 0.680
H: 0.667 0.333 0.871
H: 0.333 0.667 0.371


6.
A plane-wave DFT calculation with GGA-PBE was carried out for an optimized crystal structure of BaCu2P2H2O9.

Summary:
- Total energy after the MP2020 corrections: -6.6859 eV per atom
- Calculated density: 4.1 g cm⁻³
- Uncorrected energy: -6.300 eV per atom
- Formation energy: -2.170 eV/atom
- V: 11.9 A^3/atom
- Spin magnetization: 0.00 μB per cell

a b c (Å): 5.219 9.839 14.892
angles (deg): 90.00 90.00 90.00
Fractional coordinates of all 64 atoms:
Ba: 0.496 0.022 0.036
Ba: 0.004 0.978 0.536
Ba: 0.996 0.478 0.964
Ba: 0.504 0.522 0.464
Cu: 0.481 0.752 0.240
Cu: 0.019 0.248 0.740
Cu: 0.981 0.748 0.760
Cu: 0.519 0.252 0.260
Cu: 0.901 0.513 0.219
Cu: 0.599 0.487 0.719
Cu: 0.401 0.987 0.781
Cu: 0.099 0.013 0.281
P: 0.980 0.802 0.124
P: 0.520 0.198 0.624
P: 0.480 0.698 0.876
P: 0.020 0.302 0.376
P: 0.988 0.724 0.365
P: 0.512 0.276 0.865
P: 0.488 0.776 0.635
P: 0.012 0.224 0.135
H: 0.360 0.479 0.150
H: 0.140 0.521 0.650
H: 0.860 0.021 0.850
H: 0.640 0.979 0.350
H: 0.522 0.574 0.087
H: 0.978 0.426 0.587
H: 0.022 0.926 0.913
H: 0.478 0.074 0.413
O: 0.710 0.847 0.158
O: 0.790 0.153 0.658
O: 0.210 0.653 0.842
O: 0.290 0.347 0.342
O: 0.009 0.646 0.123
O: 0.491 0.354 0.623
O: 0.509 0.854 0.877
O: 0.991 0.146 0.377
O: 0.027 0.865 0.032
O: 0.473 0.135 0.532
O: 0.527 0.635 0.968
O: 0.973 0.365 0.468
O: 0.190 0.865 0.191
O: 0.310 0.135 0.691
O: 0.690 0.635 0.809
O: 0.810 0.365 0.309
O: 0.779 0.655 0.302
O: 0.721 0.345 0.802
O: 0.279 0.845 0.698
O: 0.221 0.155 0.198
O: 0.258 0.680 0.332
O: 0.242 0.320 0.832
O: 0.758 0.820 0.668
O: 0.742 0.180 0.168
O: 0.943 0.881 0.361
O: 0.557 0.119 0.861
O: 0.443 0.619 0.639
O: 0.057 0.381 0.139
O: 0.948 0.676 0.461
O: 0.552 0.324 0.961
O: 0.448 0.824 0.539
O: 0.052 0.176 0.039
O: 0.516 0.535 0.148
O: 0.984 0.465 0.648
O: 0.016 0.965 0.852
O: 0.484 0.035 0.352


> What is the formula in the fourth record?

Ba4Zn2CuGe20